V2O5 after structural relaxation, computed with PBE+U.

The calculation puts the spin magnetization at 0.0572 μB per atom. The raw total energy comes out at -7.31 eV/atom. As for the crystal system: triclinic.

Cell: 11.662 12.519 13.057 Å, 85.64 89.68 84.03°
Space group P1 (No. 1)
Asymmetric unit:
1 V 0.000 0.000 0.000
2 V 0.000 0.943 0.628
3 V 0.009 0.647 0.337
4 V 0.014 0.536 0.845
5 V 0.105 0.303 0.125
6 V 0.159 0.823 0.423
7 V 0.160 0.345 0.864
8 V 0.192 0.785 0.062
9 V 0.231 0.133 0.496
10 V 0.293 0.194 0.753
11 V 0.380 0.326 0.167
12 V 0.382 0.670 0.201
13 V 0.439 0.844 0.372
14 V 0.442 0.712 0.938
15 V 0.466 0.215 0.395
16 V 0.526 0.067 0.182
17 V 0.533 0.227 0.599
18 V 0.551 0.507 0.086
19 V 0.572 0.575 0.359
20 V 0.634 0.883 0.806
21 V 0.650 0.912 0.548
22 V 0.710 0.127 0.288
23 V 0.724 0.683 0.056
24 V 0.760 0.590 0.480
25 V 0.815 0.071 0.886
26 V 0.835 0.726 0.683
27 V 0.836 0.196 0.657
28 V 0.888 0.513 0.165
29 V 0.897 0.800 0.128
30 V 0.997 0.183 0.328
31 O 0.020 0.546 0.256
32 O 0.033 0.861 0.068
33 O 0.060 0.882 0.515
34 O 0.073 0.187 0.203
35 O 0.091 0.127 0.431
36 O 0.109 0.957 0.698
37 O 0.118 0.057 0.999
38 O 0.129 0.685 0.404
39 O 0.132 0.262 0.769
40 O 0.132 0.896 0.318
41 O 0.142 0.494 0.593
42 O 0.143 0.281 0.000
43 O 0.158 0.663 0.068
44 O 0.167 0.488 0.829
45 O 0.194 0.571 0.611
46 O 0.223 0.353 0.181
47 O 0.240 0.156 0.629
48 O 0.282 0.789 0.175
49 O 0.288 0.802 0.963
50 O 0.302 0.017 0.479
51 O 0.306 0.302 0.854
52 O 0.308 0.579 0.253
53 O 0.309 0.233 0.435
54 O 0.311 0.084 0.825
55 O 0.313 0.809 0.441
56 O 0.411 0.639 0.072
57 O 0.413 0.645 0.843
58 O 0.414 0.200 0.130
59 O 0.415 0.935 0.276
60 O 0.428 0.426 0.078
61 O 0.438 0.331 0.287
62 O 0.440 0.222 0.706
63 O 0.447 0.119 0.319
64 O 0.465 0.540 0.427
65 O 0.478 0.720 0.306
66 O 0.493 0.329 0.512
67 O 0.503 0.125 0.523
68 O 0.525 0.837 0.876
69 O 0.530 0.992 0.087
70 O 0.541 0.880 0.460
71 O 0.551 0.546 0.221
72 O 0.596 0.937 0.679
73 O 0.601 0.615 0.988
74 O 0.626 0.747 0.125
75 O 0.628 0.209 0.372
76 O 0.648 0.009 0.291
77 O 0.649 0.171 0.170
78 O 0.650 0.409 0.083
79 O 0.651 0.680 0.422
80 O 0.686 0.214 0.626
81 O 0.694 0.485 0.428
82 O 0.700 0.988 0.867
83 O 0.723 0.007 0.501
84 O 0.731 0.770 0.788
85 O 0.752 0.798 0.568
86 O 0.761 0.593 0.609
87 O 0.802 0.540 0.054
88 O 0.807 0.457 0.248
89 O 0.817 0.782 0.007
90 O 0.821 0.904 0.167
91 O 0.832 0.184 0.798
92 O 0.833 0.670 0.172
93 O 0.867 0.121 0.309
94 O 0.872 0.089 0.018
95 O 0.896 0.302 0.616
96 O 0.899 0.620 0.429
97 O 0.912 0.075 0.614
98 O 0.919 0.845 0.691
99 O 0.932 0.621 0.738
100 O 0.951 0.983 0.873
101 O 0.963 0.306 0.352
102 O 0.976 0.762 0.259
103 O 0.987 0.405 0.875
104 O 0.990 0.399 0.120
105 O 0.998 0.602 0.947



V2O5 after structural relaxation, computed with PBE+U.

The calculation puts the spin magnetization at 0.0190 μB per atom. The raw total energy comes out at -7.34 eV/atom. As for the crystal system: triclinic.

Cell: 12.011 12.341 12.600 Å, 93.84 94.35 90.35°
Space group P1 (No. 1)
Asymmetric unit:
1 V 0.000 0.000 0.000
2 V 0.000 0.293 0.974
3 V 0.109 0.768 0.084
4 V 0.110 0.654 0.742
5 V 0.191 0.689 0.468
6 V 0.203 0.206 0.510
7 V 0.212 0.444 0.892
8 V 0.227 0.036 0.736
9 V 0.276 0.469 0.442
10 V 0.307 0.776 0.706
11 V 0.349 0.234 0.141
12 V 0.381 0.060 0.914
13 V 0.425 0.106 0.366
14 V 0.434 0.489 0.059
15 V 0.441 0.836 0.423
16 V 0.539 0.825 0.856
17 V 0.575 0.695 0.228
18 V 0.677 0.487 0.568
19 V 0.682 0.206 0.997
20 V 0.696 0.233 0.434
21 V 0.777 0.540 0.330
22 V 0.803 0.920 0.780
23 V 0.815 0.180 0.766
24 V 0.820 0.067 0.194
25 V 0.823 0.931 0.408
26 V 0.855 0.577 0.700
27 V 0.862 0.741 0.198
28 V 0.910 0.156 0.507
29 V 0.923 0.579 0.973
30 V 0.925 0.315 0.249
31 O 0.015 0.761 0.185
32 O 0.036 0.358 0.318
33 O 0.036 0.748 0.796
34 O 0.042 0.129 0.989
35 O 0.050 0.656 0.996
36 O 0.061 0.183 0.476
37 O 0.084 0.761 0.435
38 O 0.093 0.046 0.734
39 O 0.105 0.904 0.031
40 O 0.121 0.535 0.822
41 O 0.142 0.340 0.957
42 O 0.165 0.564 0.391
43 O 0.187 0.697 0.619
44 O 0.226 0.254 0.183
45 O 0.232 0.344 0.513
46 O 0.234 0.742 0.132
47 O 0.238 0.149 0.627
48 O 0.251 0.712 0.810
49 O 0.252 0.987 0.872
50 O 0.266 0.912 0.667
51 O 0.288 0.382 0.807
52 O 0.294 0.142 0.416
53 O 0.301 0.520 0.993
54 O 0.308 0.775 0.436
55 O 0.330 0.144 0.024
56 O 0.340 0.565 0.526
57 O 0.357 0.432 0.348
58 O 0.365 0.124 0.797
59 O 0.414 0.359 0.114
60 O 0.429 0.962 0.353
61 O 0.431 0.159 0.240
62 O 0.457 0.776 0.736
63 O 0.460 0.931 0.916
64 O 0.489 0.590 0.162
65 O 0.498 0.867 0.541
66 O 0.523 0.474 0.971
67 O 0.527 0.738 0.354
68 O 0.534 0.110 0.954
69 O 0.536 0.157 0.443
70 O 0.537 0.229 0.954
71 O 0.552 0.728 0.935
72 O 0.564 0.514 0.624
73 O 0.570 0.800 0.158
74 O 0.654 0.345 0.519
75 O 0.666 0.247 0.308
76 O 0.677 0.873 0.829
77 O 0.678 0.525 0.424
78 O 0.716 0.124 0.116
79 O 0.717 0.258 0.724
80 O 0.726 0.652 0.242
81 O 0.728 0.328 0.030
82 O 0.734 0.882 0.482
83 O 0.757 0.631 0.614
84 O 0.759 0.988 0.282
85 O 0.761 0.104 0.473
86 O 0.762 0.148 0.897
87 O 0.782 0.040 0.712
88 O 0.798 0.823 0.122
89 O 0.800 0.448 0.669
90 O 0.815 0.416 0.260
91 O 0.849 0.829 0.697
92 O 0.852 0.275 0.445
93 O 0.852 0.608 0.846
94 O 0.865 0.616 0.092
95 O 0.870 0.812 0.329
96 O 0.891 0.589 0.391
97 O 0.901 0.165 0.269
98 O 0.911 0.186 0.640
99 O 0.913 0.951 0.890
100 O 0.918 0.001 0.112
101 O 0.932 0.258 0.848
102 O 0.938 0.006 0.475
103 O 0.950 0.446 0.971
104 O 0.956 0.298 0.115
105 O 0.989 0.585 0.653



V2O5 after structural relaxation, computed with PBE+U.

The calculation puts the spin magnetization at 0.0381 μB per atom. The raw total energy comes out at -7.29 eV/atom. As for the crystal system: triclinic.

Cell: 11.122 12.696 13.079 Å, 93.97 90.83 92.61°
Space group P1 (No. 1)
Asymmetric unit:
1 V 0.000 0.000 0.000
2 V 0.001 0.400 0.704
3 V 0.044 0.682 0.692
4 V 0.078 0.229 0.884
5 V 0.079 0.999 0.495
6 V 0.091 0.599 0.436
7 V 0.150 0.038 0.249
8 V 0.222 0.255 0.566
9 V 0.234 0.577 0.228
10 V 0.250 0.837 0.377
11 V 0.357 0.777 0.078
12 V 0.358 0.117 0.910
13 V 0.440 0.177 0.283
14 V 0.446 0.386 0.915
15 V 0.498 0.466 0.280
16 V 0.504 0.301 0.694
17 V 0.513 0.771 0.596
18 V 0.519 0.936 0.402
19 V 0.528 0.924 0.828
20 V 0.610 0.211 0.042
21 V 0.610 0.898 0.176
22 V 0.624 0.743 0.979
23 V 0.659 0.251 0.485
24 V 0.700 0.525 0.076
25 V 0.706 0.141 0.814
26 V 0.776 0.463 0.399
27 V 0.863 0.307 0.200
28 V 0.913 0.771 0.463
29 V 0.917 0.806 0.905
30 V 0.940 0.633 0.232
31 O 0.000 0.984 0.597
32 O 0.002 0.337 0.821
33 O 0.002 0.868 0.417
34 O 0.014 0.730 0.187
35 O 0.027 0.695 0.543
36 O 0.033 0.546 0.714
37 O 0.056 0.906 0.912
38 O 0.063 0.059 0.352
39 O 0.067 0.019 0.128
40 O 0.071 0.557 0.287
41 O 0.106 0.340 0.619
42 O 0.157 0.293 0.972
43 O 0.173 0.127 0.541
44 O 0.173 0.206 0.769
45 O 0.178 0.726 0.722
46 O 0.185 0.521 0.479
47 O 0.187 0.705 0.383
48 O 0.191 0.120 0.832
49 O 0.207 0.910 0.269
50 O 0.219 0.484 0.139
51 O 0.227 0.916 0.485
52 O 0.264 0.833 0.007
53 O 0.269 0.129 0.257
54 O 0.269 0.299 0.459
55 O 0.271 0.692 0.166
56 O 0.283 0.095 0.012
57 O 0.351 0.471 0.958
58 O 0.362 0.259 0.648
59 O 0.374 0.551 0.296
60 O 0.379 0.722 0.562
61 O 0.380 0.250 0.879
62 O 0.399 0.996 0.824
63 O 0.402 0.826 0.361
64 O 0.437 0.344 0.272
65 O 0.451 0.877 0.152
66 O 0.457 0.703 0.003
67 O 0.458 0.049 0.355
68 O 0.501 0.165 0.168
69 O 0.506 0.410 0.780
70 O 0.517 0.113 0.970
71 O 0.517 0.820 0.738
72 O 0.543 0.326 0.021
73 O 0.545 0.896 0.526
74 O 0.553 0.868 0.945
75 O 0.563 0.233 0.382
76 O 0.580 0.495 0.171
77 O 0.584 0.331 0.585
78 O 0.585 0.200 0.745
79 O 0.611 0.680 0.572
80 O 0.618 0.483 0.378
81 O 0.639 0.595 0.977
82 O 0.640 0.898 0.307
83 O 0.662 0.001 0.805
84 O 0.664 0.008 0.134
85 O 0.678 0.784 0.102
86 O 0.699 0.139 0.523
87 O 0.722 0.242 0.140
88 O 0.726 0.202 0.939
89 O 0.746 0.764 0.900
90 O 0.764 0.425 0.022
91 O 0.784 0.342 0.448
92 O 0.805 0.820 0.528
93 O 0.821 0.602 0.140
94 O 0.832 0.156 0.755
95 O 0.833 0.446 0.276
96 O 0.835 0.566 0.498
97 O 0.865 0.926 0.998
98 O 0.866 0.380 0.657
99 O 0.871 0.684 0.345
100 O 0.915 0.231 0.285
101 O 0.942 0.512 0.464
102 O 0.944 0.757 0.771
103 O 0.965 0.716 0.973
104 O 0.967 0.329 0.117
105 O 0.985 0.120 0.947